The following is a DFT calculation (PBE) of NaNbO2F2 after structural relaxation.

a = 8.2034 Å, b = 5.4968 Å, c = 7.7531 Å
α = 90.00°, β = 102.30°, γ = 90.00°
With the nearest neighbours (Å) after each atom.
Fractional positions:
Na1 0.1331 0.2225 0.3807  4 F 2.29-2.40
Na2 0.1331 0.2775 0.8807  4 F 2.29-2.40
Na3 0.8669 0.7225 0.1193  4 F 2.29-2.40
Na4 0.8669 0.7775 0.6193  4 F 2.29-2.40
Nb1 0.3450 0.7339 0.1800  3 O 1.84-1.96, 1 F 2.05
Nb2 0.3450 0.7661 0.6800  3 O 1.84-1.96, 1 F 2.05
Nb3 0.6550 0.2339 0.3200  3 O 1.84-1.96, 1 F 2.05
Nb4 0.6550 0.2661 0.8200  3 O 1.84-1.96, 1 F 2.05
O1 0.3225 0.6538 0.9457  1 Nb 1.84
O2 0.3225 0.8462 0.4457  1 Nb 1.84
O3 0.4639 0.0555 0.7897  2 Nb 1.92-1.96
O4 0.4639 0.4445 0.2897  2 Nb 1.92-1.96
O5 0.5361 0.5555 0.7103  2 Nb 1.92-1.96
O6 0.5361 0.9445 0.2103  2 Nb 1.92-1.96
O7 0.6775 0.1538 0.5543  1 Nb 1.84
O8 0.6775 0.3462 0.0543  1 Nb 1.84
F1 0.1262 0.5477 0.1879  1 Nb 2.08, 2 Na 2.29-2.32
F2 0.1262 0.9523 0.6879  1 Nb 2.08, 2 Na 2.29-2.32
F3 0.1834 0.0210 0.1223  1 Nb 2.05
F4 0.1834 0.4790 0.6223  1 Nb 2.05
F5 0.8166 0.5210 0.3777  1 Nb 2.05
F6 0.8166 0.9790 0.8777  1 Nb 2.05
F7 0.8738 0.0477 0.3121  1 Nb 2.08, 2 Na 2.29-2.32
F8 0.8738 0.4523 0.8121  1 Nb 2.08, 2 Na 2.29-2.32

Computed properties:
As for the crystal system: monoclinic. The energy relative to the elements is -3154 meV per atom. Its volume is 14.2 Å³ per atom.